[1]
Compound: Na21Mg4Nb8Si15P3O72
Source: the Materials Project
Functional: PBE-GGA
Structure: optimized geometry

Calculated values
- E_form: -2.882 eV/atom
- E: -7.11 eV/atom
- Space group: P1
- Total magnetization: 0.000 μB/atom

```
data_Na21Mg4Nb8Si15P3O72
_chemical_formula_sum 'Na21 Mg4 Nb8 Si15 P3 O72'
_cell_length_a 9.117
_cell_length_b 9.138
_cell_length_c 22.306
_cell_angle_alpha 89.96
_cell_angle_beta 90.02
_cell_angle_gamma 120.04
_symmetry_space_group_name_H-M 'P 1'
_symmetry_Int_Tables_number 1
_symmetry_space_group_name_Hall 'P 1'
loop_
_atom_site_label
_atom_site_type_symbol
_atom_site_fract_x
_atom_site_fract_y
_atom_site_fract_z
Na1 Na 0.639 0.020 0.240
Na2 Na 0.377 0.355 0.242
Na3 Na 0.985 0.626 0.239
Na4 Na 0.638 0.621 0.743
Na5 Na 0.979 0.356 0.745
Na6 Na 0.383 0.026 0.746
Na7 Na 0.313 0.338 0.589
Na8 Na 0.664 0.975 0.589
Na9 Na 0.315 0.975 0.086
Na10 Na 0.967 0.684 0.912
Na11 Na 0.719 0.034 0.909
Na12 Na 0.315 0.277 0.909
Na13 Na 0.964 0.280 0.411
Na14 Na 0.315 0.037 0.408
Na15 Na 0.717 0.684 0.411
Na16 Na 0.001 0.991 0.495
Na17 Na 0.991 0.001 0.993
Na18 Na 0.660 0.327 0.826
Na19 Na 0.661 0.328 0.326
Na20 Na 0.334 0.655 0.160
Na21 Na 0.321 0.668 0.667
Mg1 Mg 0.002 0.002 0.353
Mg2 Mg 0.002 0.003 0.853
Mg3 Mg 0.665 0.331 0.684
Mg4 Mg 0.664 0.331 0.182
Nb1 Nb 0.998 0.001 0.647
Nb2 Nb 0.001 0.998 0.143
Nb3 Nb 0.667 0.332 0.982
Nb4 Nb 0.666 0.334 0.481
Nb5 Nb 0.333 0.664 0.022
Nb6 Nb 0.331 0.666 0.521
Nb7 Nb 0.332 0.669 0.312
Nb8 Nb 0.337 0.666 0.813
Si1 Si 0.294 0.003 0.254
Si2 Si 0.294 0.293 0.754
Si3 Si 0.707 0.002 0.754
Si4 Si 0.959 0.336 0.587
Si5 Si 0.373 0.039 0.586
Si6 Si 0.670 0.627 0.586
Si7 Si 0.957 0.621 0.088
Si8 Si 0.668 0.041 0.087
Si9 Si 0.377 0.338 0.087
Si10 Si 0.625 0.663 0.918
Si11 Si 0.039 0.377 0.916
Si12 Si 0.335 0.959 0.917
Si13 Si 0.625 0.960 0.417
Si14 Si 0.336 0.376 0.416
Si15 Si 0.038 0.663 0.416
P1 P 0.711 0.713 0.253
P2 P 0.002 0.289 0.253
P3 P 0.001 0.712 0.753
O1 O 0.207 0.023 0.313
O2 O 0.807 0.793 0.311
O3 O 0.979 0.190 0.311
O4 O 0.210 0.180 0.812
O5 O 0.981 0.790 0.810
O6 O 0.816 0.020 0.813
O7 O 0.802 0.972 0.693
O8 O 0.168 0.194 0.693
O9 O 0.024 0.832 0.697
O10 O 0.803 0.830 0.198
O11 O 0.025 0.194 0.198
O12 O 0.169 0.973 0.194
O13 O 0.882 0.362 0.647
O14 O 0.488 0.112 0.644
O15 O 0.624 0.509 0.643
O16 O 0.881 0.519 0.148
O17 O 0.624 0.113 0.145
O18 O 0.477 0.362 0.148
O19 O 0.470 0.303 0.028
O20 O 0.836 0.526 0.028
O21 O 0.693 0.163 0.027
O22 O 0.469 0.165 0.526
O23 O 0.691 0.529 0.525
O24 O 0.834 0.306 0.527
O25 O 0.519 0.686 0.972
O26 O 0.164 0.486 0.972
O27 O 0.317 0.842 0.975
O28 O 0.526 0.840 0.475
O29 O 0.321 0.479 0.474
O30 O 0.165 0.682 0.472
O31 O 0.134 0.634 0.357
O32 O 0.497 0.862 0.358
O33 O 0.365 0.501 0.357
O34 O 0.132 0.499 0.856
O35 O 0.364 0.863 0.858
O36 O 0.501 0.633 0.857
O37 O 0.017 0.826 0.415
O38 O 0.809 0.980 0.414
O39 O 0.169 0.193 0.416
O40 O 0.021 0.193 0.917
O41 O 0.169 0.976 0.916
O42 O 0.810 0.827 0.915
O43 O 0.974 0.161 0.588
O44 O 0.188 0.030 0.588
O45 O 0.836 0.819 0.588
O46 O 0.978 0.815 0.090
O47 O 0.838 0.023 0.091
O48 O 0.188 0.159 0.090
O49 O 0.681 0.163 0.748
O50 O 0.485 0.327 0.746
O51 O 0.850 0.535 0.745
O52 O 0.686 0.534 0.248
O53 O 0.852 0.320 0.246
O54 O 0.486 0.162 0.249
O55 O 0.629 0.486 0.922
O56 O 0.855 0.369 0.921
O57 O 0.512 0.144 0.921
O58 O 0.631 0.143 0.421
O59 O 0.512 0.367 0.420
O60 O 0.856 0.485 0.421
O61 O 0.345 0.496 0.076
O62 O 0.154 0.663 0.077
O63 O 0.501 0.854 0.075
O64 O 0.351 0.851 0.574
O65 O 0.505 0.655 0.575
O66 O 0.155 0.492 0.576
O67 O 0.303 0.820 0.253
O68 O 0.529 0.698 0.254
O69 O 0.174 0.468 0.254
O70 O 0.295 0.479 0.753
O71 O 0.172 0.706 0.752
O72 O 0.517 0.822 0.753
```

***

[2]
Compound: SiO2
Source: the Materials Project
Functional: PBE-GGA
Structure: optimized geometry

Calculated values
- E_form: -3.195 eV/atom
- E: -7.84 eV/atom
- Space group: Pmmm
- Total magnetization: 0.000 μB/atom

```
data_SiO2
_chemical_formula_sum 'Si72 O144'
_cell_length_a 14.436
_cell_length_b 14.509
_cell_length_c 19.189
_cell_angle_alpha 90.00
_cell_angle_beta 90.00
_cell_angle_gamma 90.00
_symmetry_space_group_name_H-M 'P 1'
_symmetry_Int_Tables_number 1
_symmetry_space_group_name_Hall 'P 1'
loop_
_atom_site_label
_atom_site_type_symbol
_atom_site_fract_x
_atom_site_fract_y
_atom_site_fract_z
Si1 Si 0.261 0.000 0.233
Si2 Si 0.739 0.000 0.233
Si3 Si 0.261 0.000 0.767
Si4 Si 0.739 0.000 0.767
Si5 Si 0.276 0.796 0.197
Si6 Si 0.724 0.204 0.197
Si7 Si 0.276 0.204 0.803
Si8 Si 0.724 0.796 0.803
Si9 Si 0.724 0.204 0.803
Si10 Si 0.276 0.796 0.803
Si11 Si 0.724 0.796 0.197
Si12 Si 0.276 0.204 0.197
Si13 Si 0.388 0.685 0.081
Si14 Si 0.612 0.315 0.081
Si15 Si 0.388 0.315 0.919
Si16 Si 0.612 0.685 0.919
Si17 Si 0.612 0.315 0.919
Si18 Si 0.388 0.685 0.919
Si19 Si 0.612 0.685 0.081
Si20 Si 0.388 0.315 0.081
Si21 Si 0.390 0.000 0.350
Si22 Si 0.610 0.000 0.350
Si23 Si 0.390 0.000 0.650
Si24 Si 0.610 0.000 0.650
Si25 Si 0.351 0.813 0.424
Si26 Si 0.649 0.187 0.424
Si27 Si 0.351 0.187 0.576
Si28 Si 0.649 0.813 0.576
Si29 Si 0.649 0.187 0.576
Si30 Si 0.351 0.813 0.576
Si31 Si 0.649 0.813 0.424
Si32 Si 0.351 0.187 0.424
Si33 Si 0.398 0.697 0.307
Si34 Si 0.602 0.303 0.307
Si35 Si 0.398 0.303 0.693
Si36 Si 0.602 0.697 0.693
Si37 Si 0.602 0.303 0.693
Si38 Si 0.398 0.697 0.693
Si39 Si 0.602 0.697 0.307
Si40 Si 0.398 0.303 0.307
Si41 Si 0.300 0.500 0.133
Si42 Si 0.700 0.500 0.133
Si43 Si 0.300 0.500 0.867
Si44 Si 0.700 0.500 0.867
Si45 Si 0.391 0.500 0.280
Si46 Si 0.609 0.500 0.280
Si47 Si 0.391 0.500 0.720
Si48 Si 0.609 0.500 0.720
Si49 Si 0.108 0.000 0.358
Si50 Si 0.892 0.000 0.358
Si51 Si 0.108 0.000 0.642
Si52 Si 0.892 0.000 0.642
Si53 Si 0.140 0.799 0.422
Si54 Si 0.860 0.201 0.422
Si55 Si 0.140 0.201 0.578
Si56 Si 0.860 0.799 0.578
Si57 Si 0.860 0.201 0.578
Si58 Si 0.140 0.799 0.578
Si59 Si 0.860 0.799 0.422
Si60 Si 0.140 0.201 0.422
Si61 Si 0.104 0.702 0.273
Si62 Si 0.896 0.298 0.273
Si63 Si 0.104 0.298 0.727
Si64 Si 0.896 0.702 0.727
Si65 Si 0.896 0.298 0.727
Si66 Si 0.104 0.702 0.727
Si67 Si 0.896 0.702 0.273
Si68 Si 0.104 0.298 0.273
Si69 Si 0.109 0.500 0.222
Si70 Si 0.891 0.500 0.222
Si71 Si 0.109 0.500 0.778
Si72 Si 0.891 0.500 0.778
O1 O 0.256 0.906 0.186
O2 O 0.744 0.094 0.186
O3 O 0.256 0.094 0.814
O4 O 0.744 0.906 0.814
O5 O 0.744 0.094 0.814
O6 O 0.256 0.906 0.814
O7 O 0.744 0.906 0.186
O8 O 0.256 0.094 0.186
O9 O 0.364 0.000 0.268
O10 O 0.636 0.000 0.268
O11 O 0.364 0.000 0.732
O12 O 0.636 0.000 0.732
O13 O 0.331 0.759 0.129
O14 O 0.669 0.241 0.129
O15 O 0.331 0.241 0.871
O16 O 0.669 0.759 0.871
O17 O 0.669 0.241 0.871
O18 O 0.331 0.759 0.871
O19 O 0.669 0.759 0.129
O20 O 0.331 0.241 0.129
O21 O 0.342 0.775 0.264
O22 O 0.658 0.225 0.264
O23 O 0.342 0.225 0.736
O24 O 0.658 0.775 0.736
O25 O 0.658 0.225 0.736
O26 O 0.342 0.775 0.736
O27 O 0.658 0.775 0.264
O28 O 0.342 0.225 0.264
O29 O 0.385 0.719 0.000
O30 O 0.615 0.281 0.000
O31 O 0.385 0.281 0.000
O32 O 0.615 0.719 0.000
O33 O 0.327 0.590 0.087
O34 O 0.673 0.410 0.087
O35 O 0.327 0.410 0.913
O36 O 0.673 0.590 0.913
O37 O 0.673 0.410 0.913
O38 O 0.327 0.590 0.913
O39 O 0.673 0.590 0.087
O40 O 0.327 0.410 0.087
O41 O 0.500 0.000 0.362
O42 O 0.500 0.000 0.638
O43 O 0.345 0.910 0.385
O44 O 0.655 0.090 0.385
O45 O 0.345 0.090 0.615
O46 O 0.655 0.910 0.615
O47 O 0.655 0.090 0.615
O48 O 0.345 0.910 0.615
O49 O 0.655 0.910 0.385
O50 O 0.345 0.090 0.385
O51 O 0.248 0.772 0.428
O52 O 0.752 0.228 0.428
O53 O 0.248 0.228 0.572
O54 O 0.752 0.772 0.572
O55 O 0.752 0.228 0.572
O56 O 0.248 0.772 0.572
O57 O 0.752 0.772 0.428
O58 O 0.248 0.228 0.428
O59 O 0.411 0.734 0.385
O60 O 0.589 0.266 0.385
O61 O 0.411 0.266 0.615
O62 O 0.589 0.734 0.615
O63 O 0.589 0.266 0.615
O64 O 0.411 0.734 0.615
O65 O 0.589 0.734 0.385
O66 O 0.411 0.266 0.385
O67 O 0.500 0.686 0.271
O68 O 0.500 0.314 0.271
O69 O 0.500 0.314 0.729
O70 O 0.500 0.686 0.729
O71 O 0.500 0.500 0.300
O72 O 0.500 0.500 0.700
O73 O 0.374 0.500 0.197
O74 O 0.626 0.500 0.197
O75 O 0.374 0.500 0.803
O76 O 0.626 0.500 0.803
O77 O 0.346 0.596 0.310
O78 O 0.654 0.404 0.310
O79 O 0.346 0.404 0.690
O80 O 0.654 0.596 0.690
O81 O 0.654 0.404 0.690
O82 O 0.346 0.596 0.690
O83 O 0.654 0.596 0.310
O84 O 0.346 0.404 0.310
O85 O 0.396 0.830 0.500
O86 O 0.604 0.170 0.500
O87 O 0.396 0.170 0.500
O88 O 0.604 0.830 0.500
O89 O 0.500 0.673 0.102
O90 O 0.500 0.327 0.102
O91 O 0.500 0.327 0.898
O92 O 0.500 0.673 0.898
O93 O 0.177 0.000 0.291
O94 O 0.823 0.000 0.291
O95 O 0.177 0.000 0.709
O96 O 0.823 0.000 0.709
O97 O 0.176 0.748 0.218
O98 O 0.824 0.252 0.218
O99 O 0.176 0.252 0.782
O100 O 0.824 0.748 0.782
O101 O 0.824 0.252 0.782
O102 O 0.176 0.748 0.782
O103 O 0.824 0.748 0.218
O104 O 0.176 0.252 0.218
O105 O 0.000 0.000 0.331
O106 O 0.000 0.000 0.669
O107 O 0.125 0.908 0.406
O108 O 0.875 0.092 0.406
O109 O 0.125 0.092 0.594
O110 O 0.875 0.908 0.594
O111 O 0.875 0.092 0.594
O112 O 0.125 0.908 0.594
O113 O 0.875 0.908 0.406
O114 O 0.125 0.092 0.406
O115 O 0.105 0.739 0.354
O116 O 0.895 0.261 0.354
O117 O 0.105 0.261 0.646
O118 O 0.895 0.739 0.646
O119 O 0.895 0.261 0.646
O120 O 0.105 0.739 0.646
O121 O 0.895 0.739 0.354
O122 O 0.105 0.261 0.354
O123 O 0.000 0.722 0.243
O124 O 0.000 0.278 0.243
O125 O 0.000 0.278 0.757
O126 O 0.000 0.722 0.757
O127 O 0.000 0.500 0.192
O128 O 0.000 0.500 0.808
O129 O 0.191 0.500 0.161
O130 O 0.809 0.500 0.161
O131 O 0.191 0.500 0.839
O132 O 0.809 0.500 0.839
O133 O 0.123 0.590 0.272
O134 O 0.877 0.410 0.272
O135 O 0.123 0.410 0.728
O136 O 0.877 0.590 0.728
O137 O 0.877 0.410 0.728
O138 O 0.123 0.590 0.728
O139 O 0.877 0.590 0.272
O140 O 0.123 0.410 0.272
O141 O 0.096 0.776 0.500
O142 O 0.904 0.224 0.500
O143 O 0.096 0.224 0.500
O144 O 0.904 0.776 0.500
```

***

[3]
Compound: LiEuAs
Source: the Materials Project
Functional: PBE-GGA
Structure: optimized geometry

Calculated values
- E_form: -1.045 eV/atom
- E: -6.65 eV/atom
- Space group: Pnma

```
data_LiEuAs
_chemical_formula_sum 'Li4 Eu4 As4'
_cell_length_a 4.464
_cell_length_b 7.464
_cell_length_c 7.984
_cell_angle_alpha 90.00
_cell_angle_beta 90.00
_cell_angle_gamma 90.00
_symmetry_space_group_name_H-M 'P 1'
_symmetry_Int_Tables_number 1
_symmetry_space_group_name_Hall 'P 1'
loop_
_atom_site_label
_atom_site_type_symbol
_atom_site_fract_x
_atom_site_fract_y
_atom_site_fract_z
Li1 Li 0.250 0.157 0.929
Li2 Li 0.250 0.657 0.571
Li3 Li 0.750 0.843 0.071
Li4 Li 0.750 0.343 0.429
Eu1 Eu 0.250 0.009 0.296
Eu2 Eu 0.250 0.509 0.204
Eu3 Eu 0.750 0.991 0.704
Eu4 Eu 0.750 0.491 0.796
As1 As 0.250 0.275 0.596
As2 As 0.250 0.775 0.904
As3 As 0.750 0.725 0.404
As4 As 0.750 0.225 0.096
```

***

[4]
Compound: MgGe2
Source: the Materials Project
Functional: PBE-GGA
Structure: optimized geometry

Calculated values
- E_form: 0.049 eV/atom
- E: -3.57 eV/atom
- Space group: C2/m
- Total magnetization: 0.001 μB/atom

```
data_MgGe2
_chemical_formula_sum 'Mg2 Ge4'
_cell_length_a 5.823
_cell_length_b 5.823
_cell_length_c 6.815
_cell_angle_alpha 63.41
_cell_angle_beta 63.41
_cell_angle_gamma 37.04
_symmetry_space_group_name_H-M 'P 1'
_symmetry_Int_Tables_number 1
_symmetry_space_group_name_Hall 'P 1'
loop_
_atom_site_label
_atom_site_type_symbol
_atom_site_fract_x
_atom_site_fract_y
_atom_site_fract_z
Mg1 Mg 0.185 0.185 0.349
Mg2 Mg 0.815 0.815 0.651
Ge1 Ge 0.120 0.120 0.985
Ge2 Ge 0.880 0.880 0.015
Ge3 Ge 0.471 0.471 0.294
Ge4 Ge 0.529 0.529 0.706
```

***

[5]
Compound: MgSb2O6
Source: the Materials Project
Functional: PBE-GGA
Structure: optimized geometry

Calculated values
- E_form: -2.227 eV/atom
- E: -6.16 eV/atom
- Space group: P4_2/mnm

```
data_MgSb2O6
_chemical_formula_sum 'Mg2 Sb4 O12'
_cell_length_a 4.729
_cell_length_b 4.729
_cell_length_c 9.385
_cell_angle_alpha 90.00
_cell_angle_beta 90.00
_cell_angle_gamma 90.00
_symmetry_space_group_name_H-M 'P 1'
_symmetry_Int_Tables_number 1
_symmetry_space_group_name_Hall 'P 1'
loop_
_atom_site_label
_atom_site_type_symbol
_atom_site_fract_x
_atom_site_fract_y
_atom_site_fract_z
Mg1 Mg 0.000 0.000 0.000
Mg2 Mg 0.500 0.500 0.500
Sb1 Sb 0.500 0.500 0.832
Sb2 Sb 0.000 0.000 0.332
Sb3 Sb 0.500 0.500 0.168
Sb4 Sb 0.000 0.000 0.668
O1 O 0.698 0.698 0.671
O2 O 0.302 0.302 0.671
O3 O 0.698 0.698 0.329
O4 O 0.198 0.802 0.171
O5 O 0.802 0.198 0.171
O6 O 0.802 0.198 0.829
O7 O 0.310 0.310 0.000
O8 O 0.190 0.810 0.500
O9 O 0.810 0.190 0.500
O10 O 0.690 0.690 0.000
O11 O 0.302 0.302 0.329
O12 O 0.198 0.802 0.829
```

***

[6]
Compound: Ho4Ni13C4
Source: the Materials Project
Functional: PBE-GGA
Structure: optimized geometry

Calculated values
- E_form: -0.350 eV/atom
- E: -6.56 eV/atom
- Space group: Cmmm

```
data_Ho4Ni13C4
_chemical_formula_sum 'Ho4 Ni13 C4'
_cell_length_a 8.335
_cell_length_b 8.335
_cell_length_c 3.835
_cell_angle_alpha 90.00
_cell_angle_beta 90.00
_cell_angle_gamma 91.25
_symmetry_space_group_name_H-M 'P 1'
_symmetry_Int_Tables_number 1
_symmetry_space_group_name_Hall 'P 1'
loop_
_atom_site_label
_atom_site_type_symbol
_atom_site_fract_x
_atom_site_fract_y
_atom_site_fract_z
Ho1 Ho 0.349 0.349 0.500
Ho2 Ho 0.651 0.651 0.500
Ho3 Ho 0.813 0.187 0.500
Ho4 Ho 0.187 0.813 0.500
Ni1 Ni 0.000 0.000 0.000
Ni2 Ni 0.216 0.570 0.000
Ni3 Ni 0.784 0.430 0.000
Ni4 Ni 0.430 0.784 0.000
Ni5 Ni 0.570 0.216 0.000
Ni6 Ni 0.000 0.500 0.500
Ni7 Ni 0.500 0.000 0.500
Ni8 Ni 0.075 0.291 0.000
Ni9 Ni 0.925 0.709 0.000
Ni10 Ni 0.709 0.925 0.000
Ni11 Ni 0.291 0.075 0.000
Ni12 Ni 0.124 0.124 0.500
Ni13 Ni 0.876 0.876 0.500
C1 C 0.443 0.557 0.000
C2 C 0.557 0.443 0.000
C3 C 0.000 0.500 0.000
C4 C 0.500 0.000 0.000
```